This record from the Materials Project describes an optimized crystal structure of Na2Mg5Zr3S12O48. The functional is PBE.

Cell lengths 8.794, 15.229, 22.826 Å; angles 89.96, 89.96, 89.99 degrees
Space group P1 (No. 1)
Inequivalent atoms, fractional coordinates:
Na 0.000 0.000 0.000
Na 0.000 0.003 0.492
Na 0.001 0.669 0.162
Na 0.500 0.171 0.659
Na 0.502 0.500 0.492
Na 0.502 0.503 0.995
Mg 0.000 0.334 0.471
Mg 0.000 0.999 0.145
Mg 0.001 0.003 0.640
Mg 0.001 0.669 0.310
Mg 0.002 0.001 0.347
Mg 0.500 0.501 0.847
Mg 0.500 0.502 0.347
Mg 0.501 0.169 0.511
Mg 0.501 0.499 0.643
Mg 0.502 0.173 0.810
Mg 0.502 0.504 0.144
Mg 0.502 0.836 0.470
Mg 0.505 0.831 0.975
Mg 0.997 0.338 0.973
Mg 0.999 0.667 0.014
Zr 0.001 0.338 0.186
Zr 0.001 0.668 0.512
Zr 0.002 0.002 0.849
Zr 0.004 0.335 0.682
Zr 0.499 0.834 0.681
Zr 0.501 0.168 0.310
Zr 0.501 0.832 0.185
Zr 0.503 0.171 0.018
Zr 0.999 0.663 0.809
S 0.139 0.856 0.245
S 0.144 0.143 0.244
S 0.148 0.188 0.576
S 0.150 0.521 0.914
S 0.151 0.479 0.576
S 0.151 0.812 0.913
S 0.210 0.838 0.576
S 0.212 0.172 0.911
S 0.216 0.506 0.245
S 0.289 0.339 0.077
S 0.292 0.005 0.743
S 0.296 0.669 0.409
S 0.352 0.978 0.076
S 0.353 0.021 0.414
S 0.354 0.688 0.076
S 0.355 0.316 0.414
S 0.359 0.643 0.745
S 0.362 0.356 0.745
S 0.640 0.022 0.910
S 0.640 0.360 0.245
S 0.642 0.688 0.576
S 0.648 0.982 0.576
S 0.649 0.315 0.910
S 0.651 0.642 0.245
S 0.707 0.668 0.914
S 0.708 0.335 0.576
S 0.718 0.002 0.245
S 0.783 0.501 0.744
S 0.794 0.835 0.076
S 0.796 0.167 0.414
S 0.851 0.145 0.743
S 0.853 0.481 0.076
S 0.853 0.815 0.409
S 0.854 0.520 0.409
S 0.859 0.858 0.743
S 0.864 0.189 0.077
O 0.075 0.106 0.297
O 0.075 0.774 0.964
O 0.076 0.896 0.191
O 0.077 0.101 0.586
O 0.077 0.435 0.920
O 0.077 0.767 0.251
O 0.077 0.902 0.904
O 0.078 0.230 0.526
O 0.078 0.233 0.235
O 0.078 0.567 0.570
O 0.080 0.440 0.630
O 0.080 0.564 0.859
O 0.111 0.581 0.251
O 0.112 0.246 0.920
O 0.112 0.915 0.586
O 0.113 0.089 0.904
O 0.114 0.757 0.571
O 0.116 0.425 0.236
O 0.118 0.243 0.631
O 0.119 0.761 0.859
O 0.119 0.911 0.297
O 0.120 0.091 0.191
O 0.121 0.425 0.525
O 0.121 0.579 0.964
O 0.187 0.014 0.404
O 0.187 0.680 0.071
O 0.187 0.991 0.084
O 0.190 0.323 0.420
O 0.191 0.657 0.753
O 0.192 0.347 0.736
O 0.195 0.016 0.692
O 0.195 0.653 0.464
O 0.196 0.321 0.130
O 0.196 0.349 0.024
O 0.196 0.988 0.797
O 0.197 0.682 0.359
O 0.304 0.181 0.858
O 0.305 0.516 0.191
O 0.305 0.822 0.631
O 0.306 0.152 0.964
O 0.306 0.487 0.297
O 0.307 0.850 0.525
O 0.310 0.847 0.235
O 0.311 0.156 0.253
O 0.313 0.824 0.920
O 0.315 0.180 0.572
O 0.315 0.490 0.586
O 0.315 0.514 0.904
O 0.380 0.078 0.464
O 0.381 0.925 0.024
O 0.382 0.592 0.692
O 0.383 0.410 0.797
O 0.383 0.744 0.130
O 0.385 0.259 0.359
O 0.386 0.258 0.070
O 0.387 0.924 0.737
O 0.388 0.746 0.421
O 0.390 0.081 0.752
O 0.390 0.588 0.405
O 0.391 0.414 0.085
O 0.423 0.064 0.359
O 0.423 0.730 0.025
O 0.423 0.940 0.130
O 0.424 0.067 0.068
O 0.424 0.734 0.736
O 0.425 0.267 0.752
O 0.425 0.601 0.085
O 0.425 0.936 0.420
O 0.426 0.396 0.692
O 0.426 0.403 0.404
O 0.426 0.606 0.797
O 0.427 0.274 0.464
O 0.575 0.271 0.964
O 0.575 0.402 0.905
O 0.575 0.731 0.526
O 0.576 0.069 0.572
O 0.576 0.397 0.191
O 0.576 0.601 0.586
O 0.578 0.269 0.253
O 0.578 0.606 0.297
O 0.578 0.935 0.920
O 0.579 0.064 0.858
O 0.579 0.733 0.236
O 0.579 0.938 0.631
O 0.612 0.414 0.586
O 0.613 0.255 0.572
O 0.613 0.589 0.904
O 0.614 0.079 0.253
O 0.614 0.747 0.919
O 0.615 0.925 0.236
O 0.618 0.744 0.631
O 0.619 0.259 0.859
O 0.620 0.412 0.297
O 0.620 0.925 0.526
O 0.621 0.078 0.964
O 0.622 0.592 0.192
O 0.687 0.155 0.752
O 0.687 0.489 0.085
O 0.687 0.514 0.405
O 0.691 0.822 0.421
O 0.691 0.848 0.737
O 0.693 0.180 0.070
O 0.695 0.487 0.798
O 0.695 0.517 0.692
O 0.696 0.152 0.464
O 0.696 0.181 0.359
O 0.696 0.822 0.130
O 0.698 0.849 0.025
O 0.806 0.349 0.526
O 0.807 0.017 0.191
O 0.807 0.322 0.631
O 0.807 0.653 0.964
O 0.807 0.681 0.859
O 0.807 0.987 0.297
O 0.809 0.347 0.236
O 0.811 0.681 0.571
O 0.812 0.322 0.921
O 0.813 0.014 0.904
O 0.814 0.989 0.586
O 0.816 0.657 0.252
O 0.881 0.091 0.692
O 0.882 0.426 0.025
O 0.882 0.579 0.464
O 0.883 0.760 0.359
O 0.883 0.912 0.797
O 0.884 0.244 0.130
O 0.887 0.424 0.736
O 0.887 0.579 0.752
O 0.888 0.246 0.420
O 0.890 0.088 0.404
O 0.890 0.756 0.071
O 0.891 0.915 0.085
O 0.923 0.105 0.797
O 0.923 0.438 0.130
O 0.923 0.564 0.359
O 0.924 0.233 0.737
O 0.925 0.436 0.421
O 0.926 0.100 0.085
O 0.926 0.568 0.071
O 0.926 0.770 0.753
O 0.926 0.773 0.464
O 0.926 0.898 0.692
O 0.927 0.230 0.025
O 0.927 0.902 0.405

Output
ΔH_f (0 K) = -2.40 eV/atom
E = -1376.0 eV per cell